# 1
{
  "formula": "Na3Li3N2",
  "functional": "PBE-GGA",
  "state": "optimized geometry",
  "m_tot_mub_per_atom": 0.000,
  "e_form_ev_per_atom": -0.1040,
  "de_polymorph_ev_per_fu": 0.00,
  "lattice_angstrom": [[4.288, 0.000, 0.000], [0.000, 3.869, 0.000], [0.000, 0.066, 7.305]],
  "species": ["Li", "Li", "N", "Na", "Na", "N", "Li", "Na"],
  "fractional_positions": [[0.000, 0.438, 0.018], [0.500, 0.013, 0.176], [0.500, 0.510, 0.186], [0.500, 0.352, 0.527], [0.500, 0.612, 0.862], [0.000, 0.490, 0.716], [0.000, 0.993, 0.718], [0.000, 0.634, 0.358]]
}

# 2
{
  "formula": "SnP7Au3",
  "functional": "PBE-GGA",
  "state": "optimized geometry",
  "e_form_ev_per_atom": -0.1039,
  "lattice_angstrom": [[11.146, 0.000, 0.000], [0.000, 6.391, 0.000], [0.000, 2.104, 6.172]],
  "species": ["P", "Sn", "Au", "P", "P", "P", "P", "P", "Au", "P", "Au", "Sn", "Au", "Au", "P", "P", "P", "P", "P", "P", "P", "Au"],
  "fractional_positions": [[0.092, 0.280, 0.805], [0.250, 0.689, 0.040], [0.902, 0.315, 0.313], [0.750, 0.739, 0.717], [0.588, 0.200, 0.710], [0.250, 0.261, 0.283], [0.079, 0.164, 0.165], [0.412, 0.800, 0.290], [0.598, 0.315, 0.313], [0.408, 0.280, 0.805], [0.098, 0.685, 0.687], [0.750, 0.311, 0.960], [0.402, 0.685, 0.687], [0.750, 0.927, 0.319], [0.908, 0.720, 0.195], [0.579, 0.836, 0.835], [0.912, 0.200, 0.710], [0.421, 0.164, 0.165], [0.921, 0.836, 0.835], [0.592, 0.720, 0.195], [0.088, 0.800, 0.290], [0.250, 0.073, 0.681]]
}

# 3
{
  "formula": "EuAu5",
  "functional": "PBE-GGA",
  "state": "optimized geometry",
  "e_form_ev_per_atom": -0.4352,
  "lattice_angstrom": [[3.579, -2.893, -1.062], [-0.356, 1.564, -5.462], [3.380, 2.872, 3.569]],
  "species": ["Au", "Eu", "Au", "Au", "Au", "Au"],
  "fractional_positions": [[0.500, 0.500, 0.500], [0.000, 0.000, 0.000], [0.000, 0.667, 0.333], [0.000, 0.333, 0.667], [0.500, 0.500, 0.000], [0.500, 0.000, 0.500]]
}

# 4
{
  "formula": "Hf2Pd",
  "functional": "PBE-GGA",
  "state": "optimized geometry",
  "m_tot_mub_per_atom": 0.030,
  "e_form_ev_per_atom": -0.4418,
  "lattice_angstrom": [[0.153, 0.743, 8.760], [-7.155, -1.989, 4.707], [-0.090, -7.214, 5.026]],
  "species": ["Pd", "Hf", "Hf", "Hf", "Hf", "Pd", "Hf", "Pd", "Pd", "Pd", "Hf", "Hf", "Hf", "Hf", "Hf", "Hf", "Pd", "Pd", "Hf", "Hf", "Hf", "Pd", "Hf", "Hf"],
  "fractional_positions": [[0.843, 0.843, 0.843], [0.814, 0.814, 0.186], [0.186, 0.814, 0.186], [0.625, 0.625, 0.125], [0.125, 0.625, 0.625], [0.843, 0.843, 0.472], [0.814, 0.186, 0.814], [0.407, 0.407, 0.407], [0.843, 0.472, 0.843], [0.407, 0.407, 0.778], [0.436, 0.064, 0.064], [0.064, 0.436, 0.436], [0.064, 0.064, 0.436], [0.064, 0.436, 0.064], [0.186, 0.814, 0.814], [0.436, 0.436, 0.064], [0.778, 0.407, 0.407], [0.472, 0.843, 0.843], [0.625, 0.625, 0.625], [0.814, 0.186, 0.186], [0.625, 0.125, 0.625], [0.407, 0.778, 0.407], [0.436, 0.064, 0.436], [0.186, 0.186, 0.814]]
}

# 5
{
  "formula": "Dy2Al2Fe15",
  "functional": "PBE-GGA",
  "state": "optimized geometry",
  "m_tot_mub_per_atom": 1.520,
  "e_form_ev_per_atom": -0.0866,
  "lattice_angstrom": [[4.189, -7.256, 0.000], [4.189, 7.256, 0.000], [0.000, 0.000, 8.403]],
  "species": ["Fe", "Fe", "Fe", "Fe", "Fe", "Fe", "Al", "Fe", "Fe", "Fe", "Fe", "Fe", "Dy", "Fe", "Dy", "Fe", "Fe", "Fe", "Fe", "Al", "Fe", "Fe", "Fe", "Dy", "Al", "Dy", "Fe", "Fe", "Al", "Fe", "Fe", "Fe", "Fe", "Fe", "Fe", "Fe", "Fe", "Fe"],
  "fractional_positions": [[0.165, 0.331, 0.510], [0.364, 0.032, 0.750], [0.968, 0.331, 0.750], [0.331, 0.968, 0.250], [0.331, 0.364, 0.250], [0.835, 0.669, 0.010], [0.333, 0.667, 0.101], [0.331, 0.165, 0.490], [0.032, 0.669, 0.250], [0.835, 0.165, 0.490], [0.669, 0.835, 0.990], [0.500, 0.000, 0.000], [0.000, 0.000, 0.750], [0.669, 0.835, 0.510], [0.333, 0.667, 0.750], [0.968, 0.636, 0.750], [0.165, 0.835, 0.990], [0.364, 0.331, 0.750], [0.500, 0.500, 0.500], [0.667, 0.333, 0.899], [0.500, 0.000, 0.500], [0.835, 0.165, 0.010], [0.636, 0.968, 0.250], [0.000, 0.000, 0.250], [0.667, 0.333, 0.601], [0.667, 0.333, 0.250], [0.636, 0.669, 0.250], [0.500, 0.500, 0.000], [0.333, 0.667, 0.399], [0.165, 0.331, 0.990], [0.835, 0.669, 0.490], [0.331, 0.165, 0.010], [0.000, 0.500, 0.000], [0.669, 0.636, 0.750], [0.669, 0.032, 0.750], [0.000, 0.500, 0.500], [0.165, 0.835, 0.510], [0.032, 0.364, 0.250]]
}

# 6
{
  "formula": "CsCaSe3O12",
  "functional": "PBE-GGA",
  "state": "optimized geometry",
  "m_tot_mub_per_atom": 0.176,
  "e_form_ev_per_atom": -1.3278,
  "lattice_angstrom": [[-4.204, 4.330, -0.589], [-2.235, -3.235, -7.823], [-8.598, -8.081, 1.962]],
  "species": ["O", "O", "O", "O", "O", "O", "Se", "Se", "O", "O", "O", "O", "Cs", "O", "O", "Ca", "O", "Se", "O", "O", "O", "Ca", "O", "O", "Se", "Se", "Se", "O", "O", "Cs", "O", "O", "O", "O"],
  "fractional_positions": [[0.250, 0.547, 0.066], [0.481, 0.489, 0.267], [0.979, 0.318, 0.490], [0.250, 0.815, 0.660], [0.521, 0.318, 0.490], [0.250, 0.768, 0.197], [0.250, 0.190, 0.058], [0.750, 0.425, 0.801], [0.250, 0.016, 0.019], [0.523, 0.801, 0.867], [0.023, 0.199, 0.133], [0.250, 0.324, 0.926], [0.750, 0.866, 0.273], [0.477, 0.199, 0.133], [0.750, 0.232, 0.803], [0.250, 0.615, 0.852], [0.750, 0.052, 0.581], [0.750, 0.220, 0.469], [0.021, 0.682, 0.510], [0.019, 0.489, 0.267], [0.750, 0.676, 0.074], [0.750, 0.385, 0.148], [0.977, 0.801, 0.867], [0.981, 0.511, 0.733], [0.250, 0.575, 0.199], [0.250, 0.780, 0.531], [0.750, 0.810, 0.942], [0.250, 0.948, 0.419], [0.519, 0.511, 0.733], [0.250, 0.134, 0.727], [0.750, 0.453, 0.934], [0.750, 0.185, 0.340], [0.750, 0.984, 0.981], [0.479, 0.682, 0.510]]
}

# 7
{
  "formula": "Na6Mg4Ta2Si3S6O36",
  "functional": "PBE-GGA",
  "state": "optimized geometry",
  "m_tot_mub_per_atom": 0.000,
  "e_form_ev_per_atom": -2.5375,
  "lattice_angstrom": [[-8.872, 0.057, -0.389], [4.625, -5.734, -4.959], [-0.831, -15.136, 16.728]],
  "species": ["O", "S", "Mg", "O", "O", "O", "Si", "O", "Si", "S", "O", "O", "Si", "S", "O", "Ta", "O", "Na", "Na", "O", "O", "Na", "Mg", "O", "S", "O", "Na", "S", "O", "O", "S", "Na", "O", "O", "O", "O", "O", "O", "Na", "O", "O", "O", "Na", "O", "Ta", "O", "O", "Mg", "O", "Mg", "O", "O", "O", "O", "O", "O", "O", "O", "O", "O", "S", "O", "Mg", "O", "O", "S", "O", "O", "O", "Si", "O", "Si", "S", "O", "O", "O", "Mg", "Mg", "O", "O", "O", "O", "O", "O", "O", "O", "O", "O", "Na", "Na", "S", "S", "S", "Ta", "Mg", "O", "O", "O", "O", "O", "O", "Na", "O", "O", "O", "Si", "O", "O", "O", "Na", "Na", "O", "O", "Ta"],
  "fractional_positions": [[0.549, 0.716, 0.976], [0.958, 0.625, 0.086], [0.333, 0.667, 0.016], [0.473, 0.151, 0.244], [0.514, 0.146, 0.927], [0.167, 0.451, 0.976], [0.329, 0.955, 0.920], [0.632, 0.486, 0.927], [0.625, 0.955, 0.420], [0.667, 0.042, 0.086], [0.854, 0.368, 0.927], [0.284, 0.451, 0.476], [0.045, 0.375, 0.920], [0.958, 0.333, 0.586], [0.854, 0.486, 0.427], [0.333, 0.667, 0.817], [0.311, 0.835, 0.254], [0.308, 0.293, 0.917], [0.333, 0.667, 0.660], [0.524, 0.689, 0.254], [0.549, 0.833, 0.476], [0.986, 0.692, 0.917], [0.000, 0.000, 0.350], [0.361, 0.871, 0.581], [0.704, 0.704, 0.249], [0.829, 0.796, 0.587], [0.000, 0.000, 0.997], [0.296, 0.296, 0.749], [0.165, 0.476, 0.254], [0.682, 0.532, 0.530], [0.001, 0.704, 0.749], [0.333, 0.667, 0.160], [0.218, 0.202, 0.805], [0.798, 0.017, 0.805], [0.379, 0.869, 0.861], [0.129, 0.490, 0.581], [0.131, 0.621, 0.361], [0.311, 0.476, 0.754], [0.667, 0.333, 0.324], [0.865, 0.348, 0.637], [0.178, 0.997, 0.906], [0.967, 0.171, 0.587], [0.308, 0.014, 0.417], [0.678, 0.151, 0.744], [0.667, 0.333, 0.479], [0.865, 0.518, 0.137], [0.798, 0.782, 0.305], [0.333, 0.667, 0.516], [0.849, 0.527, 0.744], [0.000, 0.000, 0.649], [0.482, 0.135, 0.637], [0.129, 0.639, 0.081], [0.850, 0.532, 0.030], [0.652, 0.135, 0.137], [0.003, 0.181, 0.906], [0.632, 0.146, 0.427], [0.849, 0.322, 0.244], [0.850, 0.318, 0.530], [0.379, 0.511, 0.361], [0.983, 0.202, 0.305], [0.375, 0.042, 0.586], [0.024, 0.813, 0.697], [0.000, 0.000, 0.850], [0.524, 0.835, 0.754], [0.789, 0.976, 0.697], [0.296, 0.999, 0.249], [0.652, 0.518, 0.637], [0.167, 0.716, 0.476], [0.468, 0.318, 0.030], [0.329, 0.375, 0.420], [0.789, 0.813, 0.197], [0.625, 0.671, 0.920], [0.375, 0.333, 0.086], [0.514, 0.368, 0.427], [0.510, 0.639, 0.581], [0.178, 0.181, 0.406], [0.000, 0.000, 0.149], [0.667, 0.333, 0.184], [0.983, 0.782, 0.805], [0.204, 0.033, 0.587], [0.187, 0.211, 0.697], [0.819, 0.997, 0.406], [0.003, 0.822, 0.406], [0.829, 0.033, 0.087], [0.024, 0.211, 0.197], [0.131, 0.511, 0.861], [0.468, 0.150, 0.530], [0.187, 0.976, 0.197], [0.000, 0.000, 0.497], [0.707, 0.692, 0.417], [0.001, 0.296, 0.249], [0.667, 0.625, 0.586], [0.704, 0.999, 0.749], [0.333, 0.667, 0.317], [0.667, 0.333, 0.684], [0.678, 0.527, 0.244], [0.967, 0.796, 0.087], [0.361, 0.490, 0.081], [0.819, 0.822, 0.906], [0.218, 0.017, 0.305], [0.165, 0.689, 0.754], [0.707, 0.014, 0.917], [0.204, 0.171, 0.087], [0.489, 0.621, 0.861], [0.510, 0.871, 0.081], [0.045, 0.671, 0.420], [0.473, 0.322, 0.744], [0.682, 0.150, 0.030], [0.482, 0.348, 0.137], [0.986, 0.293, 0.417], [0.667, 0.333, 0.824], [0.284, 0.833, 0.976], [0.489, 0.869, 0.361], [0.667, 0.333, 0.979]]
}

# 8
{
  "formula": "Mg6ZrSb",
  "functional": "PBE-GGA",
  "state": "optimized geometry",
  "m_tot_mub_per_atom": 0.000,
  "e_form_ev_per_atom": -0.0845,
  "lattice_angstrom": [[-0.167, -2.966, 4.082], [0.454, -5.285, -3.823], [10.927, 0.403, 0.739]],
  "species": ["Mg", "Mg", "Mg", "Mg", "Mg", "Sb", "Mg", "Zr", "Mg", "Mg", "Mg", "Sb", "Mg", "Zr", "Mg", "Mg"],
  "fractional_positions": [[0.000, 0.500, 0.835], [0.000, 0.257, 0.581], [0.500, 0.254, 0.918], [0.500, 0.500, 0.667], [0.000, 0.743, 0.581], [0.500, 0.000, 0.669], [0.000, 0.243, 0.081], [0.000, 0.000, 0.832], [0.000, 0.757, 0.081], [0.500, 0.754, 0.418], [0.500, 0.746, 0.918], [0.500, 0.500, 0.169], [0.000, 0.000, 0.335], [0.000, 0.500, 0.332], [0.500, 0.246, 0.418], [0.500, 0.000, 0.167]]
}